{"formula": "Na4MgZnSiS2O12", "functional": "GGA-PBE", "state": "relaxed", "energy_ev_per_atom": -5.788, "magnetic_moment_mub_per_atom": 0.00, "lattice": [[9.124, 0.000, 0.000], [4.554, 7.919, 0.000], [0.104, 0.223, 22.023]], "species": ["Na", "Na", "Na", "Na", "Na", "Na", "Na", "Na", "Na", "Na", "Na", "Na", "Na", "Na", "Na", "Na", "Na", "Na", "Na", "Na", "Na", "Na", "Na", "Na", "Mg", "Mg", "Mg", "Mg", "Mg", "Mg", "Zn", "Zn", "Zn", "Zn", "Zn", "Zn", "Si", "Si", "Si", "Si", "Si", "Si", "S", "S", "S", "S", "S", "S", "S", "S", "S", "S", "S", "S", "O", "O", "O", "O", "O", "O", "O", "O", "O", "O", "O", "O", "O", "O", "O", "O", "O", "O", "O", "O", "O", "O", "O", "O", "O", "O", "O", "O", "O", "O", "O", "O", "O", "O", "O", "O", "O", "O", "O", "O", "O", "O", "O", "O", "O", "O", "O", "O", "O", "O", "O", "O", "O", "O", "O", "O", "O", "O", "O", "O", "O", "O", "O", "O", "O", "O", "O", "O", "O", "O", "O", "O"], "fractional_positions": [[0.000, 0.000, 0.000], [0.001, 0.662, 0.761], [0.008, 0.954, 0.340], [0.017, 0.302, 0.847], [0.272, 0.698, 0.845], [0.307, 0.302, 0.347], [0.310, 0.972, 0.928], [0.325, 0.355, 0.679], [0.334, 0.614, 0.169], [0.348, 0.969, 0.427], [0.350, 0.298, 0.015], [0.371, 0.649, 0.519], [0.608, 0.649, 0.017], [0.628, 0.997, 0.499], [0.643, 0.335, 0.096], [0.648, 0.337, 0.596], [0.658, 0.697, 0.346], [0.664, 0.954, 0.840], [0.673, 0.616, 0.667], [0.689, 0.970, 0.187], [0.949, 0.354, 0.178], [0.966, 0.662, 0.260], [0.969, 0.969, 0.688], [0.973, 0.304, 0.514], [0.338, 0.956, 0.579], [0.654, 0.316, 0.444], [0.655, 0.316, 0.944], [0.971, 0.662, 0.411], [0.986, 0.645, 0.610], [0.993, 0.662, 0.911], [0.296, 0.969, 0.774], [0.333, 0.943, 0.082], [0.363, 0.968, 0.275], [0.652, 0.318, 0.748], [0.657, 0.317, 0.248], [0.992, 0.645, 0.107], [0.289, 0.644, 0.011], [0.323, 0.671, 0.679], [0.635, 0.669, 0.178], [0.658, 0.022, 0.345], [0.690, 0.645, 0.511], [0.946, 0.022, 0.844], [0.029, 0.984, 0.179], [0.034, 0.276, 0.676], [0.283, 0.353, 0.511], [0.319, 0.274, 0.177], [0.353, 0.612, 0.346], [0.355, 0.313, 0.846], [0.615, 0.980, 0.677], [0.662, 0.612, 0.846], [0.690, 0.948, 0.010], [0.958, 0.313, 0.346], [0.988, 0.352, 0.010], [0.990, 0.945, 0.511], [0.003, 0.442, 0.956], [0.013, 0.448, 0.672], [0.016, 0.827, 0.177], [0.021, 0.838, 0.457], [0.108, 0.008, 0.123], [0.124, 0.153, 0.341], [0.124, 0.171, 0.622], [0.130, 0.969, 0.234], [0.135, 0.200, 0.733], [0.137, 0.973, 0.517], [0.138, 0.005, 0.843], [0.146, 0.184, 0.014], [0.152, 0.652, 0.672], [0.168, 0.447, 0.175], [0.174, 0.671, 0.952], [0.179, 0.458, 0.851], [0.182, 0.437, 0.456], [0.185, 0.621, 0.354], [0.202, 0.458, 0.566], [0.204, 0.612, 0.073], [0.287, 0.784, 0.740], [0.295, 0.184, 0.517], [0.296, 0.195, 0.233], [0.302, 0.820, 0.013], [0.325, 0.787, 0.342], [0.333, 0.174, 0.122], [0.350, 0.153, 0.841], [0.358, 0.758, 0.619], [0.427, 0.347, 0.790], [0.427, 0.515, 0.289], [0.456, 0.331, 0.508], [0.460, 0.296, 0.900], [0.465, 0.529, 0.399], [0.476, 0.288, 0.179], [0.481, 0.475, 0.007], [0.484, 0.004, 0.343], [0.499, 0.481, 0.685], [0.501, 0.820, 0.513], [0.509, 0.001, 0.623], [0.514, 0.787, 0.842], [0.515, 0.974, 0.014], [0.517, 0.748, 0.118], [0.535, 0.963, 0.734], [0.556, 0.785, 0.239], [0.631, 0.137, 0.404], [0.632, 0.529, 0.899], [0.636, 0.132, 0.678], [0.649, 0.480, 0.185], [0.668, 0.475, 0.506], [0.678, 0.117, 0.004], [0.683, 0.111, 0.283], [0.684, 0.515, 0.790], [0.772, 0.838, 0.957], [0.780, 0.671, 0.451], [0.786, 0.825, 0.673], [0.790, 0.870, 0.067], [0.808, 0.613, 0.572], [0.820, 0.621, 0.853], [0.824, 0.654, 0.171], [0.830, 0.832, 0.346], [0.833, 0.111, 0.782], [0.833, 0.113, 0.506], [0.837, 0.329, 0.006], [0.853, 0.347, 0.290], [0.856, 0.135, 0.180], [0.857, 0.138, 0.903], [0.865, 0.288, 0.678], [0.870, 0.295, 0.400], [0.962, 0.452, 0.066], [0.965, 0.832, 0.846], [0.970, 0.860, 0.566], [0.990, 0.458, 0.351]]}